1.
A plane-wave DFT calculation with GGA-PBE was carried out for crystalline MoWS4 at its relaxed geometry.

Results
The energy with MP2020 corrections is -7.901 eV per atom. The total energy is -0.278 hartree per atom. Its piezoelectric modulus e_max is 0.1 C/m². Its space group is P3m1 (156). As for the energy of formation from the pure elements: -113.4 kJ/mol of atoms.

Unit cell a=3.188 b=3.188 c=22.370 alpha=90.00 beta=90.00 gamma=120.00
Sites, in units of the cell vectors:
1 Mo 0.000 0.000 0.000
2 W 0.333 0.667 0.301
3 S 0.000 0.000 0.231
4 S 0.000 0.000 0.371
5 S 0.333 0.667 0.070
6 S 0.333 0.667 0.930

2.
A plane-wave DFT calculation with GGA-PBE was carried out for crystalline Rb8NdAs4S16 at its relaxed geometry.

Results
The energy with MP2020 corrections is -4.431 eV per atom. The total energy is -0.153 hartree per atom. Its space group is I222 (23). As for the energy of formation from the pure elements: -103.4 kJ/mol of atoms. The calculation puts the magnetic moment at 1.010 μB/cell.

Unit cell a=11.907 b=11.907 c=11.907 alpha=134.09 beta=128.47 gamma=71.46
Sites, in units of the cell vectors:
1 Rb 0.158 0.553 0.871
2 Rb 0.213 0.213 0.000
3 Rb 0.253 0.753 0.500
4 Rb 0.318 0.447 0.605
5 Rb 0.682 0.287 0.129
6 Rb 0.747 0.247 0.500
7 Rb 0.787 0.787 0.000
8 Rb 0.842 0.713 0.395
9 Nd 0.500 0.000 0.500
10 As 0.144 0.081 0.471
11 As 0.390 0.919 0.063
12 As 0.610 0.672 0.529
13 As 0.856 0.328 0.937
14 S 0.008 0.214 0.384
15 S 0.031 0.023 0.520
16 S 0.170 0.786 0.794
17 S 0.184 0.866 0.261
18 S 0.366 0.223 0.719
19 S 0.396 0.134 0.318
20 S 0.496 0.777 0.143
21 S 0.497 0.977 0.008
22 S 0.503 0.511 0.480
23 S 0.504 0.647 0.281
24 S 0.604 0.923 0.739
25 S 0.634 0.353 0.857
26 S 0.816 0.077 0.682
27 S 0.830 0.624 0.616
28 S 0.969 0.489 0.992
29 S 0.992 0.376 0.206